(1)
# Mn2PO5

A geometry-optimized Mn2PO5 structure (PBE with a Hubbard U, the Materials Project database).

Summary:
* space-group type: P2_1/c
* crystal system: monoclinic
* ΔE_f: -1.962 eV per atom
* density: 3.89 g cm⁻³

Lattice parameters (Å, degrees): 13.286 9.654 12.336 72.60 90.00 90.00
Element x y z (fractional)
1 O 0.659 0.987 0.929
2 O 0.334 0.970 0.468
3 O 0.241 0.506 0.121
4 O 0.149 0.833 0.214
5 O 0.841 0.987 0.429
6 O 0.022 0.970 0.381
7 O 0.795 0.269 0.533
8 O 0.954 0.246 0.974
9 O 0.906 0.667 0.794
10 O 0.047 0.584 0.242
11 O 0.268 0.469 0.882
12 O 0.382 0.831 0.327
13 O 0.797 0.753 0.966
14 O 0.882 0.169 0.173
15 O 0.795 0.913 0.748
16 O 0.547 0.416 0.258
17 O 0.092 0.473 0.951
18 O 0.643 0.697 0.669
19 O 0.400 0.208 0.161
20 O 0.166 0.970 0.968
21 O 0.507 0.993 0.382
22 O 0.978 0.030 0.619
23 O 0.118 0.831 0.827
24 O 0.741 0.494 0.379
25 O 0.857 0.697 0.169
26 O 0.993 0.993 0.882
27 O 0.295 0.731 0.967
28 O 0.341 0.013 0.071
29 O 0.295 0.087 0.752
30 O 0.478 0.970 0.881
31 O 0.641 0.318 0.829
32 O 0.493 0.007 0.618
33 O 0.232 0.469 0.382
34 O 0.141 0.682 0.671
35 O 0.203 0.247 0.034
36 O 0.759 0.494 0.879
37 O 0.851 0.167 0.786
38 O 0.081 0.529 0.548
39 O 0.556 0.773 0.044
40 O 0.205 0.731 0.467
41 O 0.444 0.227 0.956
42 O 0.546 0.246 0.474
43 O 0.703 0.753 0.466
44 O 0.056 0.227 0.456
45 O 0.159 0.013 0.571
46 O 0.908 0.527 0.049
47 O 0.259 0.506 0.621
48 O 0.705 0.913 0.248
49 O 0.453 0.584 0.742
50 O 0.419 0.529 0.048
51 O 0.592 0.527 0.549
52 O 0.705 0.269 0.033
53 O 0.100 0.208 0.661
54 O 0.953 0.416 0.758
55 O 0.944 0.773 0.544
56 O 0.357 0.303 0.331
57 O 0.007 0.007 0.118
58 O 0.406 0.333 0.706
59 O 0.046 0.754 0.026
60 O 0.900 0.792 0.339
61 O 0.666 0.030 0.532
62 O 0.594 0.667 0.294
63 O 0.359 0.682 0.171
64 O 0.732 0.531 0.118
65 O 0.351 0.833 0.714
66 O 0.408 0.473 0.451
67 O 0.143 0.303 0.831
68 O 0.297 0.247 0.534
69 O 0.618 0.169 0.673
70 O 0.522 0.030 0.119
71 O 0.649 0.167 0.286
72 O 0.094 0.333 0.206
73 O 0.205 0.087 0.252
74 O 0.859 0.318 0.329
75 O 0.581 0.471 0.952
76 O 0.834 0.030 0.032
77 O 0.600 0.792 0.839
78 O 0.919 0.471 0.452
79 O 0.454 0.754 0.526
80 O 0.768 0.531 0.618
81 P 0.425 0.122 0.077
82 P 0.671 0.387 0.923
83 P 0.581 0.115 0.573
84 P 0.171 0.613 0.577
85 P 0.419 0.885 0.427
86 P 0.075 0.122 0.577
87 P 0.919 0.115 0.073
88 P 0.675 0.629 0.575
89 P 0.081 0.885 0.927
90 P 0.175 0.371 0.925
91 P 0.829 0.387 0.423
92 P 0.329 0.613 0.077
93 P 0.825 0.629 0.075
94 P 0.575 0.878 0.923
95 P 0.925 0.878 0.423
96 P 0.325 0.371 0.425
97 Mn 0.678 0.974 0.383
98 Mn 0.679 0.041 0.087
99 Mn 0.994 0.217 0.804
100 Mn 0.821 0.041 0.587
101 Mn 0.178 0.026 0.117
102 Mn 0.512 0.196 0.801
103 Mn 0.742 0.301 0.695
104 Mn 0.928 0.472 0.895
105 Mn 0.758 0.714 0.803
106 Mn 0.494 0.783 0.696
107 Mn 0.242 0.699 0.805
108 Mn 0.572 0.472 0.395
109 Mn 0.929 0.545 0.599
110 Mn 0.242 0.286 0.197
111 Mn 0.571 0.545 0.099
112 Mn 0.429 0.455 0.901
113 Mn 0.072 0.528 0.105
114 Mn 0.758 0.301 0.195
115 Mn 0.012 0.804 0.699
116 Mn 0.488 0.804 0.199
117 Mn 0.006 0.783 0.196
118 Mn 0.322 0.026 0.617
119 Mn 0.428 0.528 0.605
120 Mn 0.742 0.714 0.303
121 Mn 0.822 0.974 0.883
122 Mn 0.506 0.217 0.304
123 Mn 0.071 0.455 0.401
124 Mn 0.258 0.286 0.697
125 Mn 0.258 0.699 0.305
126 Mn 0.988 0.196 0.301
127 Mn 0.321 0.959 0.913
128 Mn 0.179 0.959 0.413

=====

(2)
# Na4CoAuO5

A geometry-optimized Na4CoAuO5 structure (PBE with a Hubbard U, the Materials Project database).

Summary:
* space-group type: Cmcm
* crystal system: orthorhombic
* ΔE_f: -1.442 eV per atom
* density: 4.76 g cm⁻³

Lattice parameters (Å, degrees): 5.625 5.625 10.621 90.00 90.00 117.22
Element x y z (fractional)
1 Na 0.671 0.329 0.000
2 Na 0.008 0.640 0.750
3 Na 0.329 0.671 0.500
4 Na 0.360 0.992 0.250
5 Na 0.640 0.008 0.750
6 Na 0.671 0.329 0.500
7 Na 0.329 0.671 0.000
8 Na 0.992 0.360 0.250
9 O 0.986 0.708 0.118
10 O 0.708 0.986 0.382
11 O 0.014 0.292 0.618
12 O 0.430 0.430 0.250
13 O 0.014 0.292 0.882
14 O 0.986 0.708 0.382
15 O 0.708 0.986 0.118
16 O 0.570 0.570 0.750
17 O 0.292 0.014 0.882
18 O 0.292 0.014 0.618
19 Au 0.000 0.000 0.500
20 Au 0.000 0.000 0.000
21 Co 0.269 0.269 0.750
22 Co 0.731 0.731 0.250